[1]
Material: Ti2ZnO4
Method: DFT, PBE
State: relaxed

Cell and atoms, written as extended XYZ:
```
56
Lattice="2.980 5.355 0.000 -2.980 5.355 0.000 0.000 3.830 19.716" Properties=species:S:1:pos:R:3 pbc="T T T"
Zn 0.000 7.282 9.818
O 1.433 8.115 11.145
Ti -1.570 6.403 12.320
Ti -1.610 8.197 7.319
Ti 1.570 6.403 12.320
Ti 0.000 7.456 19.179
O 0.000 7.256 13.557
O -1.456 6.443 8.541
O 1.495 6.373 16.060
O 1.553 6.103 1.232
Ti 0.000 3.692 10.548
Ti 1.617 9.996 17.365
O 0.000 12.705 13.516
Ti 0.000 7.264 4.352
Ti -1.617 9.996 17.365
Zn 0.000 10.836 14.857
Ti 0.000 10.840 9.120
O 0.000 10.843 18.328
O 1.531 8.132 3.671
O -1.540 8.288 18.483
Zn 0.000 7.223 0.627
Ti 1.421 4.501 2.514
O 0.000 9.109 16.104
O 1.385 4.456 6.172
Ti 0.000 3.794 14.145
O 0.000 1.956 6.117
Ti 0.000 7.333 15.455
O -1.385 4.456 6.172
O -1.531 8.132 3.671
O 1.540 8.288 18.483
O 0.000 5.519 11.159
O 0.000 5.694 18.579
O 1.440 10.060 13.506
O 0.000 5.494 3.740
O 0.000 9.105 1.289
O -1.440 10.060 13.506
Zn 0.000 12.611 17.285
O 0.000 3.571 1.341
Zn 0.000 1.716 2.420
O 0.000 3.786 16.057
O 0.000 7.303 6.241
O 1.456 6.443 8.541
Ti 1.610 8.197 7.319
O -1.553 6.103 1.232
Ti 0.000 3.677 4.833
O 0.000 3.624 8.645
O 0.000 10.666 3.553
O -1.495 6.373 16.060
Zn 0.000 9.068 12.330
Ti -1.421 4.501 2.514
O 0.000 9.022 8.532
Zn 0.000 5.507 7.332
O -1.433 8.115 11.145
Zn 0.000 10.788 5.515
O 0.000 10.906 11.027
Ti 0.000 3.876 19.658
```

Computed properties:
ΔE to the lowest computed polymorph (eV/atom): 0.093



[2]
Material: Ba3Te4O11
Method: DFT, PBE
State: relaxed

Cell and atoms, written as extended XYZ:
```
36
Lattice="-2.615 7.619 1.243 -6.461 -5.255 4.795 8.171 -2.147 5.807" Properties=species:S:1:pos:R:3 pbc="T T T"
O 0.111 3.639 6.734
Ba -0.929 -1.824 10.718
O 3.675 -1.619 6.719
O -1.761 0.806 10.695
O 5.458 0.666 6.071
O 2.729 3.517 7.920
Te -0.118 -5.569 8.399
O -1.016 -3.422 5.111
Te 4.497 -0.085 7.511
O -2.247 1.187 2.574
O 1.342 -0.970 9.271
O -3.633 -3.300 3.925
O 0.857 -0.589 1.150
Te 1.974 1.174 4.609
O -1.306 -1.536 8.060
O -2.132 1.405 7.932
Ba -1.813 2.277 5.240
O -4.580 1.835 5.126
Te -5.402 0.302 4.334
O 0.401 1.752 3.784
Te -2.732 -4.170 5.328
Te -2.879 -0.958 7.236
Te -0.787 5.786 3.446
O -3.506 -2.791 6.665
Te 1.827 4.386 6.517
O -2.219 -0.418 5.556
O 1.314 0.634 6.289
Ba 0.909 -2.061 6.604
O -2.034 4.377 3.303
O 1.129 -4.160 8.542
O -6.363 -0.450 5.774
Ba 0.024 2.040 1.126
Ba 0.652 1.636 8.681
Ba -1.557 -1.419 3.163
O 1.227 -1.188 3.913
O 2.602 3.007 5.180
```



The records above give, respectively, DFT formation energy values of -2.77, -2.24 eV/atom.
The records above give, respectively, DFT total energy values of -7.645, -5.858 eV/atom.
The records above give, respectively, volume values of 11.24, 19.66 Å³ per atom.